[1]
# WO2F

WO2F after structural relaxation (GGA+U, the Materials Project database).

Properties
calculated volume: 15.59 Å³ per atom
theoretical density: 6.25 Mg/m³
ΔE_f: -52.31 kcal/mol of atoms
space group: Cc, No. 9
excess energy over the best structure of this formula in the dataset: 51 meV per atom

a b c (Å): 5.5596 5.5596 5.7518
angles (deg): 59.09 59.09 60.85
Element x y z (fractional)
O 0.9899 0.9619 0.6015
O 0.4960 0.9369 0.0970
O 0.9619 0.9899 0.1015
O 0.9369 0.4960 0.5970
F 0.4695 0.4422 0.5953
F 0.4422 0.4695 0.0953
W 0.1969 0.7492 0.3425
W 0.7492 0.1969 0.8425

***

[2]
# WOF4

WOF4 after structural relaxation (GGA+U, the Materials Project database).

Properties
calculated volume: 18.14 Å³ per atom
theoretical density: 4.21 Mg/m³
ΔE_f: -60.88 kcal/mol of atoms
space group: Pca2_1, No. 29
excess energy over the best structure of this formula in the dataset: 43 meV per atom

a b c (Å): 5.5121 9.3468 16.9027
angles (deg): 90.00 90.00 90.00
Element x y z (fractional)
W 0.4684 0.5011 0.1503
W 0.8485 0.1005 0.6266
W 0.5316 0.5011 0.6503
W 0.8485 0.6005 0.8734
W 0.1515 0.6005 0.3734
W 0.5316 0.0011 0.8497
W 0.4684 0.0011 0.3497
W 0.1515 0.1005 0.1266
F 0.4356 0.9145 0.9448
F 0.6769 0.0165 0.7429
F 0.5322 0.5577 0.9093
F 0.0556 0.4095 0.3847
F 0.2718 0.4136 0.7037
F 0.9444 0.4095 0.8847
F 0.6769 0.5165 0.7571
F 0.5644 0.9145 0.4448
F 0.0948 0.1368 0.7010
F 0.7282 0.4136 0.2037
F 0.8512 0.5225 0.6116
F 0.3088 0.2735 0.1724
F 0.9052 0.6368 0.2990
F 0.3231 0.0165 0.2429
F 0.4356 0.4145 0.5552
F 0.7282 0.9136 0.2963
F 0.0556 0.9095 0.1153
F 0.9052 0.1368 0.2010
F 0.6912 0.7735 0.8276
F 0.4678 0.5577 0.4093
F 0.1488 0.0225 0.3883
F 0.8512 0.0225 0.8884
F 0.4678 0.0577 0.0907
F 0.5322 0.0577 0.5907
F 0.2718 0.9136 0.7963
F 0.3088 0.7735 0.3276
F 0.9444 0.9095 0.6153
F 0.6912 0.2735 0.6724
F 0.5644 0.4145 0.0552
F 0.0948 0.6368 0.7990
F 0.1488 0.5225 0.1116
F 0.3231 0.5165 0.2571
O 0.5743 0.6725 0.1389
O 0.9705 0.6777 0.9564
O 0.9705 0.1777 0.5436
O 0.4257 0.6725 0.6389
O 0.0295 0.6777 0.4564
O 0.4257 0.1725 0.8611
O 0.0295 0.1777 0.0436
O 0.5743 0.1725 0.3611

***

[3]
# WOF4

WOF4 after structural relaxation (GGA+U, the Materials Project database).

Properties
calculated volume: 16.64 Å³ per atom
theoretical density: 4.59 Mg/m³
ΔE_f: -60.50 kcal/mol of atoms
space group: P-1, No. 2
excess energy over the best structure of this formula in the dataset: 59 meV per atom

a b c (Å): 5.2578 6.1415 6.4349
angles (deg): 102.42 93.01 98.96
Element x y z (fractional)
F 0.6317 0.4535 0.7459
F 0.8219 0.8352 0.1372
F 0.1452 0.6230 0.9051
F 0.9814 0.2627 0.5139
F 0.1781 0.1648 0.8628
F 0.8548 0.3770 0.0949
F 0.3683 0.5465 0.2541
F 0.0186 0.7373 0.4861
O 0.6586 0.0045 0.7397
O 0.3414 0.9955 0.2603
W 0.1348 0.7426 0.2146
W 0.8652 0.2574 0.7854

***

Which of these has the lowest calculated volume?
WO2F

***

What is the excess energy over the best structure of this formula in the dataset in the first record?
51 meV per atom